First-principles (PBE) data for a relaxed ErB4Rh4 crystal, as listed in the Materials Project database.

POSCAR file:
```
ErB4Rh4
1.0
-3.771 3.771 7.452
3.771 -3.771 7.452
3.771 3.771 -7.452
Er B Rh
4 16 16
Direct
0.125 0.375 0.750 Er
0.375 0.125 0.250 Er
0.625 0.875 0.750 Er
0.875 0.625 0.250 Er
0.069 0.128 0.282 B
0.128 0.345 0.058 B
0.155 0.372 0.442 B
0.213 0.931 0.558 B
0.287 0.845 0.718 B
0.345 0.787 0.218 B
0.372 0.431 0.218 B
0.431 0.713 0.058 B
0.569 0.287 0.942 B
0.628 0.569 0.782 B
0.655 0.213 0.782 B
0.713 0.155 0.282 B
0.787 0.069 0.442 B
0.845 0.628 0.558 B
0.872 0.655 0.942 B
0.931 0.872 0.718 B
0.035 0.823 0.981 Rh
0.054 0.035 0.712 Rh
0.158 0.677 0.712 Rh
0.177 0.658 0.212 Rh
0.323 0.535 0.481 Rh
0.342 0.054 0.519 Rh
0.446 0.158 0.981 Rh
0.465 0.446 0.788 Rh
0.535 0.554 0.212 Rh
0.554 0.842 0.019 Rh
0.658 0.946 0.481 Rh
0.677 0.465 0.519 Rh
0.823 0.342 0.788 Rh
0.842 0.323 0.288 Rh
0.946 0.965 0.288 Rh
0.965 0.177 0.019 Rh
```

## Properties
Excess energy over the best structure of this formula in the dataset   0.029 eV/f.u.

---

First-principles (PBE) data for a relaxed Dy4Fe crystal, as listed in the Materials Project database.

POSCAR file:
```
Dy4Fe
1.0
0.000 5.281 5.281
5.281 0.000 5.281
5.281 5.281 0.000
Dy Fe
8 2
Direct
0.222 0.759 0.759 Dy
0.241 0.241 0.241 Dy
0.241 0.241 0.778 Dy
0.241 0.778 0.241 Dy
0.759 0.222 0.759 Dy
0.759 0.759 0.222 Dy
0.759 0.759 0.759 Dy
0.778 0.241 0.241 Dy
0.375 0.375 0.375 Fe
0.625 0.625 0.625 Fe
```

---

First-principles (PBE) data for a relaxed Si2BH18C31SO3F23 crystal, as listed in the Materials Project database.

POSCAR file:
```
Si2BH18C31SO3F23
1.0
10.637 0.000 0.000
3.115 13.361 0.000
2.055 5.416 14.376
Si B H C S O F
4 2 36 62 2 6 46
Direct
0.019 0.256 0.341 Si
0.235 0.295 0.985 Si
0.765 0.705 0.015 Si
0.981 0.744 0.659 Si
0.228 0.774 0.259 B
0.772 0.226 0.741 B
0.001 0.647 0.990 H
0.002 0.118 0.492 H
0.006 0.548 0.699 H
0.035 0.291 0.925 H
0.045 0.210 0.044 H
0.084 0.379 0.403 H
0.086 0.611 0.591 H
0.095 0.062 0.411 H
0.095 0.821 0.741 H
0.133 0.677 0.786 H
0.166 0.132 0.463 H
0.202 0.750 0.677 H
0.209 0.491 0.942 H
0.261 0.448 0.846 H
0.332 0.105 0.017 H
0.345 0.184 0.897 H
0.374 0.431 0.928 H
0.452 0.187 0.975 H
0.548 0.813 0.025 H
0.626 0.569 0.072 H
0.655 0.816 0.103 H
0.668 0.895 0.983 H
0.739 0.552 0.154 H
0.791 0.509 0.058 H
0.798 0.250 0.323 H
0.834 0.868 0.537 H
0.867 0.323 0.214 H
0.905 0.179 0.259 H
0.905 0.938 0.589 H
0.914 0.389 0.409 H
0.916 0.621 0.597 H
0.955 0.790 0.956 H
0.965 0.709 0.075 H
0.994 0.452 0.301 H
0.998 0.882 0.508 H
0.999 0.353 0.010 H
0.003 0.381 0.365 C
0.005 0.720 0.260 C
0.017 0.132 0.695 C
0.062 0.287 0.992 C
0.068 0.789 0.278 C
0.077 0.130 0.436 C
0.114 0.748 0.723 C
0.128 0.275 0.730 C
0.151 0.124 0.683 C
0.182 0.939 0.989 C
0.189 0.907 0.085 C
0.208 0.197 0.700 C
0.228 0.865 0.945 C
0.241 0.804 0.144 C
0.253 0.575 0.395 C
0.273 0.429 0.920 C
0.276 0.846 0.387 C
0.281 0.761 0.000 C
0.286 0.733 0.096 C
0.293 0.853 0.293 C
0.305 0.651 0.320 C
0.323 0.475 0.447 C
0.328 0.905 0.424 C
0.352 0.182 0.968 C
0.359 0.357 0.204 C
0.373 0.924 0.240 C
0.403 0.978 0.366 C
0.425 0.987 0.274 C
0.438 0.620 0.302 C
0.454 0.448 0.426 C
0.487 0.479 0.648 C
0.513 0.521 0.352 C
0.546 0.552 0.574 C
0.562 0.380 0.698 C
0.575 0.013 0.726 C
0.597 0.022 0.634 C
0.627 0.076 0.760 C
0.641 0.643 0.796 C
0.648 0.818 0.032 C
0.672 0.095 0.576 C
0.677 0.525 0.553 C
0.695 0.349 0.680 C
0.707 0.147 0.707 C
0.714 0.267 0.904 C
0.719 0.239 0.000 C
0.724 0.154 0.613 C
0.727 0.571 0.080 C
0.747 0.425 0.605 C
0.759 0.196 0.856 C
0.772 0.135 0.055 C
0.792 0.803 0.300 C
0.811 0.093 0.915 C
0.818 0.061 0.011 C
0.849 0.876 0.317 C
0.872 0.725 0.270 C
0.886 0.252 0.277 C
0.923 0.870 0.564 C
0.932 0.211 0.722 C
0.938 0.713 0.008 C
0.983 0.868 0.305 C
0.995 0.280 0.740 C
0.997 0.619 0.635 C
0.208 0.333 0.170 S
0.792 0.667 0.830 S
0.121 0.433 0.131 O
0.162 0.255 0.259 O
0.262 0.271 0.107 O
0.738 0.729 0.893 O
0.838 0.745 0.741 O
0.879 0.567 0.869 O
0.027 0.946 0.321 F
0.075 0.639 0.232 F
0.126 0.593 0.424 F
0.130 0.042 0.938 F
0.139 0.985 0.122 F
0.181 0.345 0.750 F
0.202 0.777 0.448 F
0.219 0.893 0.853 F
0.226 0.047 0.655 F
0.264 0.405 0.518 F
0.305 0.893 0.515 F
0.322 0.409 0.264 F
0.325 0.687 0.959 F
0.337 0.190 0.690 F
0.338 0.628 0.141 F
0.359 0.505 0.670 F
0.407 0.937 0.149 F
0.416 0.416 0.126 F
0.438 0.264 0.244 F
0.452 0.038 0.400 F
0.476 0.648 0.525 F
0.497 0.313 0.768 F
0.499 0.945 0.783 F
0.501 0.055 0.217 F
0.503 0.687 0.232 F
0.524 0.352 0.475 F
0.548 0.962 0.600 F
0.562 0.736 0.756 F
0.584 0.584 0.874 F
0.593 0.063 0.851 F
0.641 0.495 0.330 F
0.662 0.372 0.859 F
0.663 0.810 0.310 F
0.675 0.313 0.041 F
0.678 0.591 0.736 F
0.695 0.107 0.485 F
0.736 0.595 0.482 F
0.774 0.953 0.345 F
0.781 0.107 0.147 F
0.798 0.223 0.552 F
0.819 0.655 0.250 F
0.861 0.015 0.878 F
0.870 0.958 0.062 F
0.874 0.407 0.576 F
0.925 0.361 0.768 F
0.973 0.054 0.679 F
```

## Properties
Total energy after the MP2020 corrections   -0.4567 Ry per atom

---

First-principles (PBE) data for a relaxed RuO2 crystal, as listed in the Materials Project database.

POSCAR file:
```
RuO2
1.0
4.543 0.000 0.000
0.000 4.543 0.000
0.000 0.000 3.140
Ru O
2 4
Direct
0.000 0.000 0.000 Ru
0.500 0.500 0.500 Ru
0.194 0.194 0.500 O
0.306 0.694 0.000 O
0.694 0.306 0.000 O
0.806 0.806 0.500 O
```

## Properties
Total energy after the MP2020 corrections   -0.5768 Ry per atom

---

First-principles (PBE) data for a relaxed NdMgCd2 crystal, as listed in the Materials Project database.

POSCAR file:
```
NdMgCd2
1.0
0.000 3.679 3.679
3.679 0.000 3.679
3.679 3.679 0.000
Nd Mg Cd
1 1 2
Direct
0.000 0.000 0.000 Nd
0.500 0.500 0.500 Mg
0.250 0.250 0.250 Cd
0.750 0.750 0.750 Cd
```

---

First-principles (PBE) data for a relaxed Ti20Co3B6 crystal, as listed in the Materials Project database.

POSCAR file:
```
Ti20Co3B6
1.0
0.000 5.899 5.899
5.899 0.000 5.899
5.899 5.899 0.000
Ti Co B
20 3 6
Direct
0.000 0.000 0.335 Ti
0.000 0.000 0.665 Ti
0.000 0.335 0.000 Ti
0.000 0.335 0.665 Ti
0.000 0.665 0.000 Ti
0.000 0.665 0.335 Ti
0.129 0.624 0.624 Ti
0.335 0.000 0.000 Ti
0.335 0.000 0.665 Ti
0.335 0.665 0.000 Ti
0.376 0.376 0.376 Ti
0.376 0.376 0.871 Ti
0.376 0.871 0.376 Ti
0.624 0.129 0.624 Ti
0.624 0.624 0.129 Ti
0.624 0.624 0.624 Ti
0.665 0.000 0.000 Ti
0.665 0.000 0.335 Ti
0.665 0.335 0.000 Ti
0.871 0.376 0.376 Ti
0.000 0.000 0.000 Co
0.250 0.250 0.250 Co
0.750 0.750 0.750 Co
0.280 0.280 0.720 B
0.280 0.720 0.280 B
0.280 0.720 0.720 B
0.720 0.280 0.280 B
0.720 0.280 0.720 B
0.720 0.720 0.280 B
```

---

| no. | final energy (eV/atom) | formation enthalpy at 0 K (eV/atom) | mass density (g/cm3) |
| --- | --- | --- | --- |
| 1 | -7.33 | -0.579 | 9.748 |
| 2 | -4.96 | 0.421 | 7.959 |
| 3 | -6.05 | -0.799 | 1.584 |
| 4 | -7.39 | -1.458 | 6.819 |
| 5 | -2.39 | -0.334 | 6.561 |
| 6 | -7.77 | -0.210 | 4.850 |